{"formula": "Zr3Tl2OF12", "functional": "PBE-GGA", "state": "relaxed", "lattice_angstrom": [[10.416, -3.932, 0.000], [10.416, 3.932, 0.000], [8.931, 0.000, 6.647]], "species": ["F", "F", "F", "F", "F", "F", "F", "F", "F", "F", "F", "F", "F", "F", "F", "F", "F", "F", "F", "F", "F", "F", "F", "F", "Tl", "Tl", "Tl", "Tl", "O", "O", "Zr", "Zr", "Zr", "Zr", "Zr", "Zr"], "fractional_positions": [[0.352, 0.352, 0.917], [0.090, 0.596, 0.090], [0.353, 0.000, 0.647], [0.910, 0.910, 0.404], [0.628, 0.293, 0.293], [0.404, 0.910, 0.910], [0.000, 0.353, 0.647], [0.293, 0.293, 0.628], [0.648, 0.648, 0.083], [0.000, 0.647, 0.353], [0.293, 0.628, 0.293], [0.648, 0.083, 0.648], [0.083, 0.648, 0.648], [0.917, 0.352, 0.352], [0.707, 0.372, 0.707], [0.352, 0.917, 0.352], [0.910, 0.404, 0.910], [0.090, 0.090, 0.596], [0.596, 0.090, 0.090], [0.647, 0.000, 0.353], [0.372, 0.707, 0.707], [0.647, 0.353, 0.000], [0.353, 0.647, 0.000], [0.707, 0.707, 0.372], [0.500, 0.500, 0.500], [0.000, 0.000, 0.000], [0.140, 0.140, 0.140], [0.860, 0.860, 0.860], [0.713, 0.713, 0.713], [0.287, 0.287, 0.287], [0.029, 0.576, 0.576], [0.424, 0.971, 0.424], [0.424, 0.424, 0.971], [0.576, 0.029, 0.576], [0.576, 0.576, 0.029], [0.971, 0.424, 0.424]], "rho_g_cm3": 5.6, "delta_e_f_ev_per_fu": -65.01, "space_group": "R-3m, No. 166"}